No. 1
Here is a geometry-optimized Co2P2NO8 structure from the Materials Project. Energies are from PBE with a Hubbard U.

Properties
Calculated volume: 1668.41 Å³/cell
Magnetization: 88.0 Bohr magnetons per cell
Formation energy from the elements: -34.97 kcal/mol of atoms

Cell: 13.5981 13.6386 9.1198 Å, 90.00 99.45 90.00°
Space group C2/c (No. 15)
Unique sites:
1 Co 0.0822 0.1312 0.0584 (multiplicity 8)
2 Co 0.1372 0.4414 0.3928 (multiplicity 8)
3 P 0.0763 0.3677 0.0465 (multiplicity 8)
4 P 0.1409 0.0618 0.4097 (multiplicity 8)
5 N 0.1760 0.2483 0.7233 (multiplicity 8)
6 O 0.0385 0.3680 0.4607 (multiplicity 8)
7 O 0.0556 0.1147 0.4716 (multiplicity 8)
8 O 0.1052 0.4267 0.9141 (multiplicity 8)
9 O 0.1110 0.2612 0.0313 (multiplicity 8)
10 O 0.1290 0.0514 0.9207 (multiplicity 8)
11 O 0.1302 0.4140 0.1922 (multiplicity 8)
12 O 0.1439 0.0890 0.2463 (multiplicity 8)
13 O 0.2404 0.0946 0.5029 (multiplicity 8)

---

No. 2
Here is a geometry-optimized Li2Mn2P4H3O16 structure from the Materials Project. Energies are from PBE with a Hubbard U.

Properties
Calculated volume: 287.69 Å³/cell
Magnetization: 7.0 Bohr magnetons per cell
Formation energy from the elements: -52.16 kcal/mol of atoms

Cell: 4.8802 7.5219 8.1088 Å, 88.84 87.60 75.33°
Space group P1 (No. 1)
Unique sites:
1 Li 0.0000 0.0000 0.0000 (multiplicity 1)
2 Li 0.1948 0.6991 0.2444 (multiplicity 1)
3 Mn 0.1013 0.8498 0.6234 (multiplicity 1)
4 Mn 0.6039 0.3525 0.1210 (multiplicity 1)
5 P 0.2241 0.0968 0.2823 (multiplicity 1)
6 P 0.4908 0.1018 0.7921 (multiplicity 1)
7 P 0.7126 0.5982 0.4542 (multiplicity 1)
8 P 0.9806 0.6116 0.9658 (multiplicity 1)
9 H 0.0669 0.3774 0.5214 (multiplicity 1)
10 H 0.1419 0.3310 0.7394 (multiplicity 1)
11 H 0.5639 0.8695 0.1357 (multiplicity 1)
12 O 0.0619 0.6548 0.7883 (multiplicity 1)
13 O 0.1442 0.0426 0.4552 (multiplicity 1)
14 O 0.2400 0.5112 0.0704 (multiplicity 1)
15 O 0.2771 0.9861 0.8221 (multiplicity 1)
16 O 0.3400 0.2865 0.6998 (multiplicity 1)
17 O 0.3545 0.9123 0.1823 (multiplicity 1)
18 O 0.4318 0.2194 0.2902 (multiplicity 1)
19 O 0.4640 0.6939 0.5670 (multiplicity 1)
20 O 0.5966 0.5468 0.2897 (multiplicity 1)
21 O 0.6028 0.1551 0.9574 (multiplicity 1)
22 O 0.7401 0.0079 0.6796 (multiplicity 1)
23 O 0.7821 0.4799 0.9546 (multiplicity 1)
24 O 0.8542 0.7883 0.0645 (multiplicity 1)
25 O 0.8616 0.4129 0.5454 (multiplicity 1)
26 O 0.9274 0.7135 0.4254 (multiplicity 1)
27 O 0.9702 0.1890 0.1746 (multiplicity 1)

---

No. 3
Here is a geometry-optimized Nd2MnRhO6 structure from the Materials Project. Energies are from PBE with a Hubbard U.

Properties
Calculated volume: 248.81 Å³/cell
Magnetization: 8.0 Bohr magnetons per cell
Formation energy from the elements: -62.55 kcal/mol of atoms

Cell: 5.5598 5.8590 9.3309 Å, 90.00 125.06 90.00°
Space group P2_1/c (No. 14)
Unique sites:
1 Nd 0.2300 0.0680 0.2496 (multiplicity 4)
2 Mn 0.5000 0.0000 0.0000 (multiplicity 2)
3 Rh 0.0000 0.0000 0.5000 (multiplicity 2)
4 O 0.1432 0.1998 0.9503 (multiplicity 4)
5 O 0.2524 0.6996 0.9476 (multiplicity 4)
6 O 0.3592 0.0333 0.7561 (multiplicity 4)